Record 1
The following is a PBE with a Hubbard U calculation of crystalline Mn2P2O7F2 at its relaxed geometry, from the Materials Project.

Unit cell a=6.7538 b=11.1207 c=10.0232 alpha=90.00 beta=90.00 gamma=90.00
Sites, in units of the cell vectors:
Mn: 0.0000 0.0000 0.0000
Mn: 0.0000 0.0000 0.5000
Mn: 0.0000 0.1744 0.2500
Mn: 0.0000 0.8256 0.7500
Mn: 0.5000 0.3256 0.7500
Mn: 0.5000 0.5000 0.0000
Mn: 0.5000 0.5000 0.5000
Mn: 0.5000 0.6744 0.2500
P: 0.2166 0.4250 0.2463
P: 0.2166 0.5750 0.7463
P: 0.2834 0.0750 0.7463
P: 0.2834 0.9250 0.2463
P: 0.7166 0.0750 0.7537
P: 0.7166 0.9250 0.2537
P: 0.7834 0.4250 0.2537
P: 0.7834 0.5750 0.7537
O: 0.0000 0.4864 0.2500
O: 0.0000 0.5136 0.7500
O: 0.1605 0.0153 0.3318
O: 0.1605 0.9847 0.8318
O: 0.2029 0.3007 0.3067
O: 0.2029 0.6993 0.8067
O: 0.2098 0.0758 0.6017
O: 0.2098 0.9242 0.1017
O: 0.2902 0.4242 0.1017
O: 0.2902 0.5758 0.6017
O: 0.2971 0.1993 0.8067
O: 0.2971 0.8007 0.3067
O: 0.3395 0.4847 0.8318
O: 0.3395 0.5153 0.3318
O: 0.5000 0.0136 0.7500
O: 0.5000 0.9864 0.2500
O: 0.6605 0.4847 0.6682
O: 0.6605 0.5153 0.1682
O: 0.7029 0.1993 0.6933
O: 0.7029 0.8007 0.1933
O: 0.7098 0.4242 0.3983
O: 0.7098 0.5758 0.8983
O: 0.7902 0.0758 0.8983
O: 0.7902 0.9242 0.3983
O: 0.7971 0.3007 0.1933
O: 0.7971 0.6993 0.6933
O: 0.8395 0.0153 0.1682
O: 0.8395 0.9847 0.6682
F: 0.1097 0.1643 0.0807
F: 0.1097 0.8357 0.5807
F: 0.3903 0.3357 0.5807
F: 0.3903 0.6643 0.0807
F: 0.6097 0.3357 0.9193
F: 0.6097 0.6643 0.4193
F: 0.8903 0.1643 0.4193
F: 0.8903 0.8357 0.9193

total energy: -6.7686 eV/atom
total moment: 0.5 μB per formula unit
formation energy: -29.4 eV/f.u.



Record 2
The following is a PBE with a Hubbard U calculation of crystalline Rb3Mn3P3O10F7 at its relaxed geometry, from the Materials Project.

Unit cell a=8.9374 b=8.9374 c=12.4156 alpha=110.63 beta=110.63 gamma=60.50
Sites, in units of the cell vectors:
Rb: 0.0248 0.5941 0.0112
Rb: 0.1860 0.8140 0.5000
Rb: 0.4187 0.9839 0.0026
Rb: 0.5941 0.0248 0.5112
Rb: 0.8140 0.1860 0.0000
Rb: 0.9839 0.4187 0.5026
Mn: 0.2527 0.9099 0.2318
Mn: 0.4192 0.4971 0.7393
Mn: 0.4971 0.4192 0.2393
Mn: 0.6594 0.7482 0.7312
Mn: 0.7482 0.6594 0.2312
Mn: 0.9099 0.2527 0.7318
P: 0.1619 0.3240 0.2194
P: 0.3240 0.1619 0.7194
P: 0.4356 0.5939 0.0327
P: 0.5939 0.4356 0.5327
P: 0.8248 0.9920 0.2143
P: 0.9920 0.8248 0.7143
O: 0.1306 0.1944 0.6800
O: 0.1534 0.6642 0.6782
O: 0.1944 0.1306 0.1800
O: 0.2861 0.3589 0.1826
O: 0.2858 0.7743 0.0740
O: 0.3589 0.2861 0.6826
O: 0.3874 0.5440 0.8976
O: 0.4462 0.9686 0.6811
O: 0.4473 0.4469 0.0792
O: 0.4469 0.4473 0.5792
O: 0.5440 0.3874 0.3976
O: 0.6058 0.6163 0.5724
O: 0.6163 0.6058 0.0724
O: 0.6642 0.1534 0.1782
O: 0.7743 0.2858 0.5740
O: 0.7872 0.8305 0.1775
O: 0.8305 0.7872 0.6775
O: 0.9543 0.9864 0.6761
O: 0.9686 0.4462 0.1811
O: 0.9864 0.9543 0.1761
F: 0.0354 0.2340 0.8853
F: 0.0379 0.8742 0.8562
F: 0.2065 0.3703 0.3599
F: 0.2340 0.0354 0.3853
F: 0.3196 0.6930 0.2810
F: 0.3703 0.2065 0.8599
F: 0.4886 0.6896 0.7827
F: 0.5266 0.8516 0.2759
F: 0.6896 0.4886 0.2827
F: 0.6930 0.3196 0.7810
F: 0.7086 0.8710 0.8848
F: 0.8516 0.5266 0.7759
F: 0.8710 0.7086 0.3848
F: 0.8742 0.0379 0.3562

total energy: -6.3698 eV/atom
total moment: 12.0 μB per formula unit
formation energy: -71.2 eV/f.u.



Record 3
The following is a PBE with a Hubbard U calculation of crystalline Rb2MnOF5 at its relaxed geometry, from the Materials Project.

Unit cell a=6.3717 b=6.3717 c=8.2816 alpha=90.00 beta=90.00 gamma=94.32
Sites, in units of the cell vectors:
Rb: 0.0097 0.4796 0.2500
Rb: 0.4796 0.0097 0.7500
Rb: 0.5204 0.9903 0.2500
Rb: 0.9903 0.5204 0.7500
Mn: 0.5000 0.5000 0.0000
Mn: 0.5000 0.5000 0.5000
O: 0.0247 0.9753 0.2500
O: 0.9753 0.0247 0.7500
F: 0.2840 0.2840 0.0000
F: 0.2840 0.2840 0.5000
F: 0.2995 0.7005 0.5064
F: 0.2995 0.7005 0.9936
F: 0.4933 0.5067 0.2500
F: 0.5067 0.4933 0.7500
F: 0.7005 0.2995 0.0064
F: 0.7005 0.2995 0.4936
F: 0.7160 0.7160 0.0000
F: 0.7160 0.7160 0.5000

total energy: -4.7476 eV/atom
total moment: 5.4 μB per formula unit
formation energy: -21.7 eV/f.u.



Record 4
The following is a PBE with a Hubbard U calculation of crystalline Rb2MnSO4F3 at its relaxed geometry, from the Materials Project.

Unit cell a=7.4822 b=11.3664 c=8.9454 alpha=90.00 beta=93.22 gamma=90.00
Sites, in units of the cell vectors:
Rb: 0.1917 0.1907 0.3324
Rb: 0.1917 0.3093 0.8324
Rb: 0.2995 0.6913 0.8278
Rb: 0.2995 0.8087 0.3278
Rb: 0.7005 0.1913 0.6722
Rb: 0.7005 0.3087 0.1722
Rb: 0.8083 0.6907 0.1676
Rb: 0.8083 0.8093 0.6676
Mn: 0.0000 0.0000 0.0000
Mn: 0.0000 0.5000 0.5000
Mn: 0.5000 0.0000 0.0000
Mn: 0.5000 0.5000 0.5000
S: 0.2527 0.0017 0.6969
S: 0.2527 0.4983 0.1969
S: 0.7473 0.5017 0.8031
S: 0.7473 0.9983 0.3031
O: 0.1104 0.0566 0.7853
O: 0.1104 0.4434 0.2853
O: 0.1808 0.5973 0.1064
O: 0.1808 0.9027 0.6064
O: 0.3385 0.0924 0.6083
O: 0.3385 0.4076 0.1083
O: 0.3950 0.5539 0.3080
O: 0.3950 0.9461 0.8080
O: 0.6050 0.0539 0.1920
O: 0.6050 0.4461 0.6920
O: 0.6615 0.5924 0.8917
O: 0.6615 0.9076 0.3917
O: 0.8192 0.0973 0.3936
O: 0.8192 0.4027 0.8936
O: 0.8896 0.5566 0.7147
O: 0.8896 0.9434 0.2147
F: 0.0230 0.6586 0.4543
F: 0.0230 0.8414 0.9543
F: 0.2340 0.0012 0.1002
F: 0.2340 0.4988 0.6002
F: 0.4790 0.1571 0.9449
F: 0.4790 0.3429 0.4449
F: 0.5210 0.6571 0.5551
F: 0.5210 0.8429 0.0551
F: 0.7660 0.5012 0.3998
F: 0.7660 0.9988 0.8998
F: 0.9770 0.1586 0.0457
F: 0.9770 0.3414 0.5457

total energy: -5.6936 eV/atom
total moment: 4.0 μB per formula unit
formation energy: -27.6 eV/f.u.



Record 5
The following is a PBE with a Hubbard U calculation of crystalline MnSb2O2F8 at its relaxed geometry, from the Materials Project.

Unit cell a=7.2520 b=7.6426 c=8.8439 alpha=90.00 beta=115.80 gamma=90.00
Sites, in units of the cell vectors:
Mn: 0.0000 0.0000 0.0000
Mn: 0.0000 0.5000 0.5000
Sb: 0.4432 0.1991 0.6424
Sb: 0.4432 0.3009 0.1424
Sb: 0.5568 0.6991 0.8576
Sb: 0.5568 0.8009 0.3576
O: 0.0690 0.5739 0.3411
O: 0.0690 0.9261 0.8411
O: 0.9310 0.0739 0.1589
O: 0.9310 0.4261 0.6589
F: 0.1251 0.2354 0.0022
F: 0.1251 0.2646 0.5022
F: 0.2895 0.5621 0.6805
F: 0.2895 0.9379 0.1805
F: 0.3531 0.5379 0.0611
F: 0.3531 0.9621 0.5611
F: 0.3570 0.1656 0.8219
F: 0.3570 0.3344 0.3219
F: 0.6430 0.6656 0.6781
F: 0.6430 0.8344 0.1781
F: 0.6469 0.0379 0.4389
F: 0.6469 0.4621 0.9389
F: 0.7105 0.0621 0.8195
F: 0.7105 0.4379 0.3195
F: 0.8749 0.7354 0.4978
F: 0.8749 0.7646 0.9978

total energy: -4.8820 eV/atom
total moment: 1.0 μB per formula unit
formation energy: -27.6 eV/f.u.



Record 6
The following is a PBE with a Hubbard U calculation of crystalline UMnO3F6 at its relaxed geometry, from the Materials Project.

Unit cell a=6.6291 b=6.6291 c=8.6870 alpha=102.44 beta=102.44 gamma=67.23
Sites, in units of the cell vectors:
U: 0.1234 0.8766 0.7500
U: 0.8766 0.1234 0.2500
Mn: 0.0000 0.5000 0.0000
Mn: 0.5000 0.0000 0.5000
O: 0.2779 0.3925 0.0121
O: 0.3701 0.6299 0.7500
O: 0.3925 0.2779 0.5121
O: 0.6075 0.7221 0.4879
O: 0.6299 0.3701 0.2500
O: 0.7221 0.6075 0.9879
F: 0.0181 0.3400 0.1663
F: 0.0184 0.7453 0.1655
F: 0.0709 0.7744 0.5104
F: 0.2256 0.9291 0.9896
F: 0.2547 0.9816 0.3345
F: 0.3400 0.0181 0.6663
F: 0.6600 0.9819 0.3337
F: 0.7453 0.0184 0.6655
F: 0.7744 0.0709 0.0104
F: 0.9291 0.2256 0.4896
F: 0.9816 0.2547 0.8345
F: 0.9819 0.6600 0.8337

total energy: -6.1613 eV/atom
total moment: 1.0 μB per formula unit
formation energy: -27.5 eV/f.u.



Record 7
The following is a PBE with a Hubbard U calculation of crystalline MnVO2F5 at its relaxed geometry, from the Materials Project.

Unit cell a=7.5479 b=7.5479 c=7.5479 alpha=120.85 beta=81.64 gamma=129.25
Sites, in units of the cell vectors:
Mn: 0.0000 0.0000 0.0000
Mn: 0.5000 0.0000 0.5000
V: 0.5000 0.0000 0.0000
V: 0.5000 0.5000 0.5000
O: 0.2129 0.7493 0.4636
O: 0.2142 0.2507 0.9636
O: 0.7858 0.7493 0.0364
O: 0.7871 0.2507 0.5364
F: 0.1926 0.2565 0.3309
F: 0.1926 0.8617 0.9360
F: 0.4078 0.6578 0.7500
F: 0.4256 0.2565 0.5640
F: 0.4256 0.8617 0.1691
F: 0.5744 0.1383 0.8309
F: 0.5744 0.7435 0.4360
F: 0.5922 0.3422 0.2500
F: 0.8074 0.1383 0.0640
F: 0.8074 0.7435 0.6691

total energy: -5.6079 eV/atom
total moment: 3.0 μB per formula unit
formation energy: -19.8 eV/f.u.



Record 8
The following is a PBE with a Hubbard U calculation of crystalline Mn3PtF6 at its relaxed geometry, from the Materials Project.

Unit cell a=5.6894 b=5.7951 c=10.0430 alpha=87.35 beta=87.17 gamma=72.73
Sites, in units of the cell vectors:
Mn: 0.0000 0.0000 0.0000
Mn: 0.0000 0.0000 0.5000
Mn: 0.5000 0.5000 0.0000
Pt: 0.0000 0.5000 0.0000
F: 0.0333 0.2421 0.3828
F: 0.2727 0.1858 0.0088
F: 0.3037 0.7850 0.8910
F: 0.6963 0.2150 0.1090
F: 0.7273 0.8142 0.9912
F: 0.9667 0.7579 0.6172

total energy: -5.5499 eV/atom
total moment: 15.0 μB per formula unit
formation energy: -18.2 eV/f.u.



Record 9
The following is a PBE with a Hubbard U calculation of crystalline RbMnF3 at its relaxed geometry, from the Materials Project.

Unit cell a=4.3123 b=4.3123 c=4.3123 alpha=90.00 beta=90.00 gamma=90.00
Sites, in units of the cell vectors:
Rb: 0.0000 0.0000 0.0000
Mn: 0.5000 0.5000 0.5000
F: 0.0000 0.5000 0.5000
F: 0.5000 0.0000 0.5000
F: 0.5000 0.5000 0.0000

total energy: -5.5795 eV/atom
formation energy: -15.1 eV/f.u.



Record 10
The following is a PBE with a Hubbard U calculation of crystalline Rb3MnF6 at its relaxed geometry, from the Materials Project.

Unit cell a=6.5272 b=6.5272 c=6.5272 alpha=60.00 beta=60.00 gamma=60.00
Sites, in units of the cell vectors:
Rb: 0.0000 0.0000 0.0000
Rb: 0.2500 0.2500 0.2500
Rb: 0.7500 0.7500 0.7500
Mn: 0.5000 0.5000 0.5000
F: 0.2876 0.2876 0.7124
F: 0.2876 0.7124 0.2876
F: 0.2876 0.7124 0.7124
F: 0.7124 0.2876 0.2876
F: 0.7124 0.2876 0.7124
F: 0.7124 0.7124 0.2876

total energy: -4.8110 eV/atom
total moment: 4.0 μB per formula unit
formation energy: -29.0 eV/f.u.



Record 11
The following is a PBE with a Hubbard U calculation of crystalline Rb2MnF4 at its relaxed geometry, from the Materials Project.

Unit cell a=7.6767 b=7.6767 c=7.6767 alpha=147.30 beta=147.30 gamma=46.92
Sites, in units of the cell vectors:
Rb: 0.1473 0.1473 0.0000
Rb: 0.8527 0.8527 0.0000
Mn: 0.5000 0.5000 0.0000
F: 0.0000 0.5000 0.5000
F: 0.3469 0.3469 0.0000
F: 0.5000 0.0000 0.5000
F: 0.6531 0.6531 0.0000

total energy: -5.1650 eV/atom
formation energy: -20.9 eV/f.u.



Record 12
The following is a PBE with a Hubbard U calculation of crystalline Rb3MnF7 at its relaxed geometry, from the Materials Project.

Unit cell a=8.2218 b=8.2218 c=5.9977 alpha=90.00 beta=90.00 gamma=90.00
Sites, in units of the cell vectors:
Rb: 0.0000 0.0000 0.0000
Rb: 0.1917 0.3083 0.5000
Rb: 0.3083 0.8083 0.5000
Rb: 0.5000 0.5000 0.0000
Rb: 0.6917 0.1917 0.5000
Rb: 0.8083 0.6917 0.5000
Mn: 0.0000 0.5000 0.0000
Mn: 0.5000 0.0000 0.0000
F: 0.0000 0.0000 0.5000
F: 0.1108 0.6108 0.2209
F: 0.1108 0.6108 0.7791
F: 0.1588 0.3412 0.0000
F: 0.3412 0.8412 0.0000
F: 0.3892 0.1108 0.2209
F: 0.3892 0.1108 0.7791
F: 0.5000 0.5000 0.5000
F: 0.6108 0.8892 0.2209
F: 0.6108 0.8892 0.7791
F: 0.6588 0.1588 0.0000
F: 0.8412 0.6588 0.0000
F: 0.8892 0.3892 0.2209
F: 0.8892 0.3892 0.7791

total energy: -4.7625 eV/atom
formation energy: -31.8 eV/f.u.



The lowest formation energy belongs to which entry?
Rb3Mn3P3O10F7



Which of these has the highest total energy?
Rb2MnOF5



Among the records above, which one has the lowest total energy?
Mn2P2O7F2